No. 1
An optimized crystal structure of Li5Mn7O15. Source: the Materials Project database, functional PBE with a Hubbard U.

Computed properties:
As for the total energy: -6.68 eV/atom. The calculation puts the total moment at 0.889 μB/atom.

The structure in CIF format:
```
data_Li5Mn7O15
_cell_length_a 10.134
_cell_length_b 6.076
_cell_length_c 10.012
_cell_angle_alpha 90.00
_cell_angle_beta 108.60
_cell_angle_gamma 90.00
_symmetry_space_group_name_H-M 'C 1 m 1'
_symmetry_Int_Tables_number 8
loop_
_symmetry_equiv_pos_as_xyz
'x,y,z'
'x,-y,z'
'x+1/2,y+1/2,z'
'x+1/2,-y+1/2,z'
loop_
_atom_site_label
_atom_site_fract_x
_atom_site_fract_y
_atom_site_fract_z
_atom_site_occupancy
Li1 0.000 0.000 0.000 1
Li2 0.004 0.500 0.500 1
Li3 0.060 0.500 0.199 1
Li4 0.120 0.500 0.843 1
Li5 0.134 0.000 0.367 1
Mn1 0.065 0.000 0.683 1
Mn2 0.310 0.500 0.427 1
Mn3 0.316 0.248 0.684 1
Mn4 0.319 0.000 0.940 1
Mn5 0.326 0.238 0.194 1
O1 0.193 0.000 0.575 1
O2 0.194 0.220 0.801 1
O3 0.206 0.279 0.304 1
O4 0.209 0.000 0.068 1
O5 0.209 0.500 0.560 1
O6 0.419 0.500 0.294 1
O7 0.420 0.230 0.055 1
O8 0.425 0.000 0.809 1
O9 0.435 0.282 0.566 1
O10 0.436 0.000 0.306 1
O11 0.439 0.500 0.792 1
```

No. 2
An optimized crystal structure of Li2Mn2O3. Source: the Materials Project database, functional PBE with a Hubbard U.

Computed properties:
As for the total energy: -6.47 eV/atom. The calculation puts the total moment at 0.000 μB/atom.

The structure in CIF format:
```
data_Li2Mn2O3
_cell_length_a 5.998
_cell_length_b 5.466
_cell_length_c 5.434
_cell_angle_alpha 90.00
_cell_angle_beta 114.51
_cell_angle_gamma 90.00
_symmetry_space_group_name_H-M 'P 1 21/c 1'
_symmetry_Int_Tables_number 14
loop_
_symmetry_equiv_pos_as_xyz
'x,y,z'
'-x,-y,-z'
'-x,y+1/2,-z+1/2'
'x,-y+1/2,z+1/2'
loop_
_atom_site_label
_atom_site_fract_x
_atom_site_fract_y
_atom_site_fract_z
_atom_site_occupancy
Li1 0.058 0.154 0.182 1
Mn1 0.353 0.595 0.233 1
O1 0.000 0.000 0.500 1
O2 0.300 0.540 0.606 1
```

No. 3
An optimized crystal structure of Li3MnO4. Source: the Materials Project database, functional PBE with a Hubbard U.

Computed properties:
As for the total energy: -5.76 eV/atom. The calculation puts the total moment at 0.250 μB/atom.

The structure in CIF format:
```
data_Li3MnO4
_cell_length_a 8.205
_cell_length_b 8.205
_cell_length_c 8.205
_cell_angle_alpha 90.00
_cell_angle_beta 90.00
_cell_angle_gamma 90.00
_symmetry_space_group_name_H-M 'I -4 3 m'
_symmetry_Int_Tables_number 217
_symmetry_space_group_name_Hall 'I -4 2 3'
loop_
_atom_site_label
_atom_site_fract_x
_atom_site_fract_y
_atom_site_fract_z
_atom_site_occupancy
Li1 0.111 0.373 0.627 1
Mn1 0.131 0.131 0.869 1
O1 0.114 0.114 0.114 1
O2 0.121 0.121 0.645 1
```